1.
Below is a geometry-optimized Sb2OsO2F14 structure, with properties calculated at the PBE-GGA level.

a b c (Å): 7.732 9.039 10.451
angles (deg): 97.48 111.24 110.62
Fractional coordinates of all 38 atoms:
Sb (0.055, 0.154, 0.319)
Sb (0.407, 0.699, 0.864)
Sb (0.593, 0.301, 0.136)
Sb (0.945, 0.846, 0.681)
Os (0.323, 0.738, 0.248)
Os (0.677, 0.262, 0.752)
O (0.266, 0.727, 0.390)
O (0.499, 0.062, 0.699)
O (0.501, 0.938, 0.301)
O (0.734, 0.273, 0.610)
F (0.016, 0.823, 0.526)
F (0.092, 0.141, 0.149)
F (0.111, 0.781, 0.134)
F (0.148, 0.517, 0.134)
F (0.151, 0.069, 0.761)
F (0.185, 0.486, 0.797)
F (0.186, 0.781, 0.792)
F (0.229, 0.385, 0.389)
F (0.270, 0.093, 0.414)
F (0.374, 0.729, 0.047)
F (0.391, 0.376, 0.054)
F (0.403, 0.076, 0.064)
F (0.412, 0.678, 0.683)
F (0.477, 0.340, 0.704)
F (0.523, 0.660, 0.296)
F (0.588, 0.322, 0.317)
F (0.597, 0.924, 0.936)
F (0.609, 0.624, 0.946)
F (0.626, 0.271, 0.953)
F (0.730, 0.907, 0.586)
F (0.771, 0.615, 0.611)
F (0.814, 0.219, 0.208)
F (0.815, 0.514, 0.203)
F (0.849, 0.931, 0.239)
F (0.852, 0.483, 0.866)
F (0.889, 0.219, 0.866)
F (0.908, 0.859, 0.851)
F (0.984, 0.177, 0.474)

Calculated formation energy ... -2.320 eV per atom
Space-group type ... P-1 (2)
E ... -4.864 eV per atom
V ... 16.019 Å³ per atom

***

2.
Below is a geometry-optimized Te7OsO5F32 structure, with properties calculated at the PBE-GGA level.

a b c (Å): 10.488 10.771 15.715
angles (deg): 78.63 82.19 72.44
Fractional coordinates of all 90 atoms:
Te (0.004, 0.400, 0.443)
Te (0.201, 0.737, 0.356)
Te (0.209, 0.014, 0.787)
Te (0.216, 0.463, 0.797)
Te (0.282, 0.403, 0.122)
Te (0.282, 0.882, 0.108)
Te (0.478, 0.287, 0.432)
Te (0.522, 0.713, 0.568)
Te (0.718, 0.118, 0.892)
Te (0.718, 0.597, 0.878)
Te (0.784, 0.537, 0.203)
Te (0.791, 0.986, 0.213)
Te (0.799, 0.263, 0.644)
Te (0.996, 0.600, 0.557)
Os (0.030, 0.712, 0.127)
Os (0.970, 0.288, 0.873)
O (0.006, 0.257, 0.978)
O (0.036, 0.440, 0.830)
O (0.103, 0.857, 0.124)
O (0.133, 0.191, 0.816)
O (0.208, 0.594, 0.118)
O (0.792, 0.406, 0.882)
O (0.867, 0.809, 0.184)
O (0.897, 0.143, 0.876)
O (0.964, 0.560, 0.170)
O (0.994, 0.743, 0.022)
F (0.036, 0.195, 0.214)
F (0.054, 0.286, 0.553)
F (0.065, 0.032, 0.720)
F (0.099, 0.675, 0.267)
F (0.129, 0.932, 0.888)
F (0.135, 0.612, 0.715)
F (0.145, 0.392, 0.060)
F (0.160, 0.457, 0.395)
F (0.184, 0.571, 0.882)
F (0.192, 0.658, 0.483)
F (0.193, 0.359, 0.231)
F (0.225, 0.029, 0.023)
F (0.227, 0.988, 0.196)
F (0.252, 0.369, 0.703)
F (0.293, 0.847, 0.762)
F (0.294, 0.087, 0.684)
F (0.300, 0.314, 0.876)
F (0.307, 0.845, 0.369)
F (0.337, 0.292, 0.528)
F (0.341, 0.741, 0.205)
F (0.349, 0.766, 0.026)
F (0.350, 0.590, 0.349)
F (0.359, 0.999, 0.846)
F (0.362, 0.719, 0.646)
F (0.365, 0.223, 0.120)
F (0.381, 0.441, 0.016)
F (0.382, 0.496, 0.767)
F (0.389, 0.194, 0.374)
F (0.424, 0.408, 0.181)
F (0.426, 0.879, 0.512)
F (0.445, 0.627, 0.500)
F (0.451, 0.908, 0.098)
F (0.549, 0.092, 0.902)
F (0.555, 0.373, 0.500)
F (0.574, 0.121, 0.488)
F (0.576, 0.592, 0.819)
F (0.611, 0.806, 0.626)
F (0.618, 0.504, 0.233)
F (0.619, 0.559, 0.984)
F (0.635, 0.777, 0.880)
F (0.638, 0.281, 0.354)
F (0.641, 0.001, 0.154)
F (0.650, 0.410, 0.651)
F (0.651, 0.234, 0.974)
F (0.659, 0.259, 0.795)
F (0.663, 0.708, 0.472)
F (0.693, 0.155, 0.631)
F (0.700, 0.686, 0.124)
F (0.706, 0.913, 0.316)
F (0.707, 0.153, 0.238)
F (0.748, 0.631, 0.297)
F (0.773, 0.012, 0.804)
F (0.775, 0.971, 0.977)
F (0.807, 0.641, 0.769)
F (0.808, 0.342, 0.517)
F (0.816, 0.429, 0.118)
F (0.840, 0.543, 0.605)
F (0.855, 0.608, 0.940)
F (0.865, 0.388, 0.285)
F (0.871, 0.068, 0.112)
F (0.901, 0.325, 0.733)
F (0.935, 0.968, 0.280)
F (0.946, 0.714, 0.447)
F (0.964, 0.805, 0.786)

Calculated formation energy ... -2.093 eV per atom
Space-group type ... P-1 (2)
E ... -4.338 eV per atom
V ... 18.375 Å³ per atom

***

3.
Below is a geometry-optimized Te7OsO5F32 structure, with properties calculated at the PBE-GGA level.

a b c (Å): 10.519 10.584 15.674
angles (deg): 78.74 79.48 71.93
Fractional coordinates of all 90 atoms:
Te (0.003, 0.215, 0.278)
Te (0.027, 0.217, 0.951)
Te (0.119, 0.724, 0.385)
Te (0.309, 0.477, 0.906)
Te (0.345, 0.871, 0.104)
Te (0.398, 0.281, 0.620)
Te (0.477, 0.214, 0.289)
Te (0.523, 0.786, 0.711)
Te (0.602, 0.719, 0.380)
Te (0.655, 0.129, 0.896)
Te (0.691, 0.523, 0.094)
Te (0.881, 0.276, 0.615)
Te (0.973, 0.783, 0.049)
Te (0.997, 0.785, 0.722)
Os (0.288, 0.975, 0.366)
Os (0.712, 0.025, 0.634)
O (0.141, 0.904, 0.364)
O (0.181, 0.147, 0.315)
O (0.257, 0.997, 0.472)
O (0.410, 0.796, 0.375)
O (0.445, 0.040, 0.330)
O (0.555, 0.960, 0.670)
O (0.590, 0.204, 0.625)
O (0.743, 0.003, 0.528)
O (0.819, 0.853, 0.685)
O (0.859, 0.096, 0.636)
F (0.005, 0.212, 0.697)
F (0.018, 0.073, 0.217)
F (0.025, 0.222, 0.527)
F (0.025, 0.633, 0.668)
F (0.076, 0.664, 0.133)
F (0.078, 0.303, 0.174)
F (0.089, 0.556, 0.402)
F (0.089, 0.865, 0.621)
F (0.106, 0.886, 0.045)
F (0.136, 0.103, 0.871)
F (0.139, 0.600, 0.958)
F (0.153, 0.331, 0.907)
F (0.167, 0.701, 0.762)
F (0.215, 0.371, 0.614)
F (0.238, 0.655, 0.470)
F (0.258, 0.667, 0.293)
F (0.260, 0.056, 0.067)
F (0.308, 0.371, 0.016)
F (0.324, 0.945, 0.229)
F (0.328, 0.308, 0.361)
F (0.347, 0.184, 0.729)
F (0.368, 0.869, 0.783)
F (0.377, 0.259, 0.194)
F (0.381, 0.153, 0.557)
F (0.387, 0.851, 0.983)
F (0.393, 0.588, 0.941)
F (0.405, 0.414, 0.682)
F (0.417, 0.822, 0.620)
F (0.441, 0.385, 0.514)
F (0.477, 0.623, 0.749)
F (0.488, 0.097, 0.904)
F (0.499, 0.645, 0.117)
F (0.501, 0.355, 0.883)
F (0.512, 0.903, 0.096)
F (0.523, 0.377, 0.251)
F (0.559, 0.615, 0.486)
F (0.583, 0.178, 0.380)
F (0.595, 0.586, 0.318)
F (0.607, 0.412, 0.059)
F (0.613, 0.149, 0.017)
F (0.619, 0.847, 0.443)
F (0.623, 0.741, 0.806)
F (0.632, 0.131, 0.217)
F (0.653, 0.816, 0.271)
F (0.672, 0.692, 0.639)
F (0.676, 0.055, 0.771)
F (0.692, 0.629, 0.984)
F (0.740, 0.944, 0.933)
F (0.742, 0.333, 0.707)
F (0.762, 0.345, 0.530)
F (0.785, 0.629, 0.386)
F (0.833, 0.299, 0.238)
F (0.847, 0.669, 0.093)
F (0.861, 0.400, 0.042)
F (0.864, 0.897, 0.129)
F (0.894, 0.114, 0.955)
F (0.911, 0.135, 0.379)
F (0.911, 0.444, 0.598)
F (0.922, 0.697, 0.826)
F (0.924, 0.336, 0.867)
F (0.975, 0.367, 0.332)
F (0.975, 0.778, 0.473)
F (0.982, 0.927, 0.783)
F (0.995, 0.788, 0.303)

Calculated formation energy ... -2.262 eV per atom
Space-group type ... P-1 (2)
E ... -4.506 eV per atom
V ... 17.923 Å³ per atom

***

4.
Below is a geometry-optimized OsXe2O3F14 structure, with properties calculated at the PBE-GGA level.

a b c (Å): 10.019 15.866 8.435
angles (deg): 90.00 90.00 90.00
Fractional coordinates of all 80 atoms:
Os (0.200, 0.250, 0.098)
Os (0.300, 0.750, 0.598)
Os (0.700, 0.250, 0.402)
Os (0.800, 0.750, 0.902)
Xe (0.244, 0.112, 0.487)
Xe (0.244, 0.388, 0.487)
Xe (0.256, 0.612, 0.987)
Xe (0.256, 0.888, 0.987)
Xe (0.744, 0.112, 0.013)
Xe (0.744, 0.388, 0.013)
Xe (0.756, 0.612, 0.513)
Xe (0.756, 0.888, 0.513)
O (0.105, 0.166, 0.039)
O (0.105, 0.334, 0.039)
O (0.171, 0.750, 0.464)
O (0.329, 0.250, 0.964)
O (0.395, 0.666, 0.539)
O (0.395, 0.834, 0.539)
O (0.605, 0.166, 0.461)
O (0.605, 0.334, 0.461)
O (0.671, 0.750, 0.036)
O (0.829, 0.250, 0.536)
O (0.895, 0.666, 0.961)
O (0.895, 0.834, 0.961)
F (0.095, 0.158, 0.619)
F (0.095, 0.342, 0.619)
F (0.107, 0.073, 0.330)
F (0.107, 0.427, 0.330)
F (0.116, 0.250, 0.313)
F (0.119, 0.533, 0.901)
F (0.119, 0.967, 0.901)
F (0.143, 0.611, 0.182)
F (0.143, 0.889, 0.182)
F (0.178, 0.750, 0.025)
F (0.181, 0.006, 0.585)
F (0.181, 0.494, 0.585)
F (0.183, 0.668, 0.732)
F (0.183, 0.832, 0.732)
F (0.317, 0.168, 0.232)
F (0.317, 0.332, 0.232)
F (0.319, 0.506, 0.085)
F (0.319, 0.994, 0.085)
F (0.322, 0.250, 0.525)
F (0.357, 0.111, 0.682)
F (0.357, 0.389, 0.682)
F (0.381, 0.033, 0.401)
F (0.381, 0.467, 0.401)
F (0.384, 0.750, 0.813)
F (0.393, 0.573, 0.830)
F (0.393, 0.927, 0.830)
F (0.405, 0.658, 0.119)
F (0.405, 0.842, 0.119)
F (0.595, 0.158, 0.881)
F (0.595, 0.342, 0.881)
F (0.607, 0.073, 0.170)
F (0.607, 0.427, 0.170)
F (0.616, 0.250, 0.187)
F (0.619, 0.533, 0.599)
F (0.619, 0.967, 0.599)
F (0.643, 0.611, 0.318)
F (0.643, 0.889, 0.318)
F (0.678, 0.750, 0.475)
F (0.681, 0.006, 0.915)
F (0.681, 0.494, 0.915)
F (0.683, 0.668, 0.768)
F (0.683, 0.832, 0.768)
F (0.817, 0.168, 0.268)
F (0.817, 0.332, 0.268)
F (0.819, 0.506, 0.415)
F (0.819, 0.994, 0.415)
F (0.822, 0.250, 0.975)
F (0.857, 0.111, 0.818)
F (0.857, 0.389, 0.818)
F (0.881, 0.033, 0.099)
F (0.881, 0.467, 0.099)
F (0.884, 0.750, 0.687)
F (0.893, 0.573, 0.670)
F (0.893, 0.927, 0.670)
F (0.905, 0.658, 0.381)
F (0.905, 0.842, 0.381)

Calculated formation energy ... -1.071 eV per atom
Space-group type ... Pnma (62)
E ... -3.292 eV per atom
V ... 16.762 Å³ per atom

***

5.
Below is a geometry-optimized OsXeO4F6 structure, with properties calculated at the PBE-GGA level.

a b c (Å): 5.355 8.069 9.634
angles (deg): 80.77 81.61 87.93
Fractional coordinates of all 24 atoms:
Os (0.121, 0.166, 0.365)
Os (0.879, 0.834, 0.635)
Xe (0.441, 0.279, 0.837)
Xe (0.559, 0.721, 0.163)
O (0.017, 0.224, 0.205)
O (0.062, 0.711, 0.530)
O (0.266, 0.451, 0.910)
O (0.411, 0.254, 0.346)
O (0.589, 0.746, 0.654)
O (0.734, 0.549, 0.090)
O (0.938, 0.289, 0.470)
O (0.983, 0.776, 0.795)
F (0.136, 0.126, 0.876)
F (0.178, 0.014, 0.565)
F (0.232, 0.589, 0.212)
F (0.271, 0.956, 0.310)
F (0.358, 0.362, 0.639)
F (0.458, 0.822, 0.970)
F (0.542, 0.178, 0.030)
F (0.642, 0.638, 0.361)
F (0.729, 0.044, 0.690)
F (0.768, 0.411, 0.788)
F (0.822, 0.986, 0.435)
F (0.864, 0.874, 0.124)

Calculated formation energy ... -1.108 eV per atom
Space-group type ... P-1 (2)
E ... -4.193 eV per atom
V ... 16.936 Å³ per atom

***

6.
Below is a geometry-optimized Os2XeO6F10 structure, with properties calculated at the PBE-GGA level.

a b c (Å): 13.172 11.838 7.844
angles (deg): 90.00 90.00 90.00
Fractional coordinates of all 76 atoms:
Os (0.177, 0.070, 0.008)
Os (0.177, 0.430, 0.008)
Os (0.323, 0.570, 0.508)
Os (0.323, 0.930, 0.508)
Os (0.677, 0.070, 0.492)
Os (0.677, 0.430, 0.492)
Os (0.823, 0.570, 0.992)
Os (0.823, 0.930, 0.992)
Xe (0.053, 0.250, 0.633)
Xe (0.447, 0.750, 0.133)
Xe (0.553, 0.250, 0.867)
Xe (0.947, 0.750, 0.367)
O (0.125, 0.057, 0.209)
O (0.125, 0.443, 0.209)
O (0.161, 0.563, 0.926)
O (0.161, 0.937, 0.926)
O (0.196, 0.575, 0.548)
O (0.196, 0.925, 0.548)
O (0.304, 0.075, 0.048)
O (0.304, 0.425, 0.048)
O (0.339, 0.063, 0.426)
O (0.339, 0.437, 0.426)
O (0.375, 0.557, 0.709)
O (0.375, 0.943, 0.709)
O (0.625, 0.057, 0.291)
O (0.625, 0.443, 0.291)
O (0.661, 0.563, 0.574)
O (0.661, 0.937, 0.574)
O (0.696, 0.575, 0.952)
O (0.696, 0.925, 0.952)
O (0.804, 0.075, 0.452)
O (0.804, 0.425, 0.452)
O (0.839, 0.063, 0.074)
O (0.839, 0.437, 0.074)
O (0.875, 0.557, 0.791)
O (0.875, 0.943, 0.791)
F (0.019, 0.750, 0.589)
F (0.037, 0.086, 0.586)
F (0.037, 0.414, 0.586)
F (0.043, 0.127, 0.925)
F (0.043, 0.373, 0.925)
F (0.091, 0.750, 0.288)
F (0.170, 0.250, 0.474)
F (0.183, 0.250, 0.065)
F (0.205, 0.136, 0.776)
F (0.205, 0.364, 0.776)
F (0.295, 0.636, 0.276)
F (0.295, 0.864, 0.276)
F (0.317, 0.750, 0.565)
F (0.330, 0.750, 0.974)
F (0.409, 0.250, 0.788)
F (0.457, 0.627, 0.425)
F (0.457, 0.873, 0.425)
F (0.463, 0.586, 0.086)
F (0.463, 0.914, 0.086)
F (0.481, 0.250, 0.089)
F (0.519, 0.750, 0.911)
F (0.537, 0.086, 0.914)
F (0.537, 0.414, 0.914)
F (0.543, 0.127, 0.575)
F (0.543, 0.373, 0.575)
F (0.591, 0.750, 0.212)
F (0.670, 0.250, 0.026)
F (0.683, 0.250, 0.435)
F (0.705, 0.136, 0.724)
F (0.705, 0.364, 0.724)
F (0.795, 0.636, 0.224)
F (0.795, 0.864, 0.224)
F (0.817, 0.750, 0.935)
F (0.830, 0.750, 0.526)
F (0.909, 0.250, 0.712)
F (0.957, 0.627, 0.075)
F (0.957, 0.873, 0.075)
F (0.963, 0.586, 0.414)
F (0.963, 0.914, 0.414)
F (0.981, 0.250, 0.411)

Calculated formation energy ... -1.367 eV per atom
Space-group type ... Pnma (62)
E ... -4.661 eV per atom
V ... 16.093 Å³ per atom